Density functional theory data (PBE with a Hubbard U) for an optimized crystal structure of Li5V3P8O29.

* distance to the lowest polymorph of the same formula: 0.1 meV per atom
* final energy: -633.00 eV/cell
* DFT formation energy: -117.93 eV/f.u.
* symmetry: P1, No. 1

Cell: 9.783 9.790 14.167 Å, 89.42 89.52 60.23°
Fractional coordinates of all 90 atoms:
Li (0.000, 0.000, 0.000)
Li (0.005, 0.552, 0.501)
Li (0.137, 0.414, 0.000)
Li (0.231, 0.091, 0.123)
Li (0.240, 0.224, 0.621)
Li (0.583, 0.415, 0.507)
Li (0.674, 0.651, 0.624)
Li (0.688, 0.243, 0.117)
Li (0.822, 0.632, 0.116)
Li (0.911, 0.238, 0.581)
V (0.343, 0.882, 0.315)
V (0.345, 0.321, 0.811)
V (0.472, 0.757, 0.815)
V (0.475, 0.321, 0.311)
V (0.903, 0.891, 0.804)
V (0.908, 0.757, 0.312)
P (0.134, 0.015, 0.725)
P (0.138, 0.411, 0.221)
P (0.222, 0.233, 0.402)
P (0.229, 0.090, 0.907)
P (0.233, 0.659, 0.927)
P (0.247, 0.647, 0.431)
P (0.573, 0.986, 0.690)
P (0.573, 0.990, 0.194)
P (0.597, 0.549, 0.222)
P (0.598, 0.409, 0.719)
P (0.679, 0.636, 0.404)
P (0.680, 0.230, 0.900)
P (0.820, 0.638, 0.901)
P (0.823, 0.098, 0.401)
P (0.996, 0.003, 0.218)
P (0.998, 0.549, 0.720)
O (0.001, 0.704, 0.733)
O (0.008, 0.841, 0.241)
O (0.086, 0.809, 0.883)
O (0.100, 0.641, 0.396)
O (0.111, 0.109, 0.823)
O (0.113, 0.125, 0.645)
O (0.115, 0.324, 0.311)
O (0.142, 0.321, 0.491)
O (0.153, 0.078, 0.997)
O (0.153, 0.322, 0.132)
O (0.159, 0.987, 0.220)
O (0.166, 0.406, 0.720)
O (0.223, 0.667, 0.032)
O (0.234, 0.507, 0.889)
O (0.242, 0.241, 0.902)
O (0.242, 0.798, 0.387)
O (0.249, 0.067, 0.399)
O (0.271, 0.628, 0.535)
O (0.290, 0.420, 0.239)
O (0.291, 0.861, 0.728)
O (0.379, 0.235, 0.386)
O (0.381, 0.660, 0.883)
O (0.390, 0.945, 0.888)
O (0.401, 0.503, 0.384)
O (0.421, 0.132, 0.728)
O (0.421, 0.992, 0.234)
O (0.437, 0.700, 0.234)
O (0.443, 0.407, 0.730)
O (0.530, 0.218, 0.881)
O (0.531, 0.797, 0.389)
O (0.572, 0.003, 0.090)
O (0.573, 0.401, 0.223)
O (0.573, 0.577, 0.723)
O (0.575, 0.139, 0.239)
O (0.584, 0.832, 0.733)
O (0.584, 0.978, 0.586)
O (0.648, 0.240, 0.398)
O (0.656, 0.659, 0.900)
O (0.675, 0.307, 0.990)
O (0.677, 0.557, 0.496)
O (0.690, 0.329, 0.631)
O (0.694, 0.543, 0.140)
O (0.697, 0.522, 0.319)
O (0.703, 0.320, 0.811)
O (0.721, 0.991, 0.735)
O (0.722, 0.839, 0.233)
O (0.816, 0.796, 0.880)
O (0.823, 0.941, 0.393)
O (0.828, 0.062, 0.896)
O (0.829, 0.655, 0.399)
O (0.896, 0.120, 0.302)
O (0.905, 0.118, 0.481)
O (0.909, 0.071, 0.127)
O (0.911, 0.553, 0.632)
O (0.912, 0.563, 0.990)
O (0.915, 0.526, 0.812)
O (0.991, 0.577, 0.220)
O (0.993, 0.983, 0.726)

---

Density functional theory data (PBE with a Hubbard U) for an optimized crystal structure of Li5V3P8O29.

* distance to the lowest polymorph of the same formula: 5.4 meV per atom
* final energy: -632.52 eV/cell
* DFT formation energy: -117.69 eV/f.u.
* symmetry: P1, No. 1

Cell: 9.743 9.776 14.040 Å, 89.78 89.94 60.31°
Fractional coordinates of all 90 atoms:
Li (0.000, 0.000, 0.000)
Li (0.002, 0.001, 0.528)
Li (0.235, 0.662, 0.065)
Li (0.319, 0.767, 0.450)
Li (0.334, 0.903, 0.945)
Li (0.671, 0.658, 0.623)
Li (0.675, 0.087, 0.067)
Li (0.761, 0.337, 0.945)
Li (0.766, 0.909, 0.453)
Li (0.914, 0.321, 0.449)
V (0.001, 0.564, 0.763)
V (0.004, 0.432, 0.256)
V (0.434, 0.001, 0.761)
V (0.436, 0.562, 0.265)
V (0.563, 0.431, 0.754)
V (0.565, 0.996, 0.259)
P (0.081, 0.219, 0.848)
P (0.082, 0.689, 0.354)
P (0.221, 0.083, 0.347)
P (0.227, 0.685, 0.849)
P (0.314, 0.908, 0.164)
P (0.315, 0.777, 0.666)
P (0.327, 0.334, 0.639)
P (0.336, 0.333, 0.140)
P (0.666, 0.660, 0.879)
P (0.672, 0.662, 0.381)
P (0.693, 0.083, 0.852)
P (0.693, 0.219, 0.350)
P (0.772, 0.313, 0.166)
P (0.781, 0.905, 0.669)
P (0.913, 0.310, 0.662)
P (0.919, 0.774, 0.166)
O (0.001, 0.795, 0.260)
O (0.009, 0.782, 0.082)
O (0.012, 0.196, 0.749)
O (0.074, 0.380, 0.840)
O (0.081, 0.533, 0.337)
O (0.082, 0.256, 0.346)
O (0.084, 0.655, 0.846)
O (0.180, 0.475, 0.691)
O (0.190, 0.328, 0.190)
O (0.197, 0.010, 0.248)
O (0.205, 0.992, 0.428)
O (0.207, 0.790, 0.756)
O (0.215, 0.780, 0.937)
O (0.227, 0.790, 0.577)
O (0.237, 0.973, 0.070)
O (0.254, 0.082, 0.851)
O (0.254, 0.658, 0.353)
O (0.319, 0.348, 0.535)
O (0.325, 0.335, 0.034)
O (0.328, 0.485, 0.180)
O (0.336, 0.185, 0.684)
O (0.343, 0.738, 0.177)
O (0.344, 0.919, 0.677)
O (0.379, 0.080, 0.338)
O (0.382, 0.531, 0.842)
O (0.470, 0.344, 0.684)
O (0.472, 0.908, 0.180)
O (0.480, 0.627, 0.676)
O (0.489, 0.185, 0.179)
O (0.512, 0.810, 0.844)
O (0.514, 0.672, 0.346)
O (0.536, 0.377, 0.338)
O (0.539, 0.076, 0.838)
O (0.618, 0.467, 0.180)
O (0.629, 0.893, 0.679)
O (0.658, 0.081, 0.350)
O (0.661, 0.254, 0.847)
O (0.668, 0.511, 0.835)
O (0.678, 0.647, 0.985)
O (0.678, 0.809, 0.342)
O (0.679, 0.657, 0.488)
O (0.743, 0.341, 0.670)
O (0.747, 0.912, 0.168)
O (0.780, 0.007, 0.943)
O (0.780, 0.227, 0.075)
O (0.790, 0.195, 0.251)
O (0.794, 0.212, 0.431)
O (0.795, 0.981, 0.580)
O (0.799, 0.995, 0.760)
O (0.810, 0.664, 0.829)
O (0.815, 0.511, 0.338)
O (0.905, 0.472, 0.676)
O (0.915, 0.341, 0.177)
O (0.920, 0.614, 0.179)
O (0.923, 0.734, 0.678)
O (0.987, 0.204, 0.928)
O (0.991, 0.225, 0.572)
O (0.991, 0.785, 0.438)